# 1
Entry from the Materials Project: La8Ni4Br7 after structural relaxation (PBE-GGA).

Lattice parameters (Å, degrees): 14.969 14.969 8.792 94.20 94.20 15.48
Positions (direct):
La: 0.013 0.013 0.311
La: 0.210 0.210 0.723
La: 0.374 0.374 0.561
La: 0.402 0.402 0.150
La: 0.598 0.598 0.850
La: 0.626 0.626 0.439
La: 0.790 0.790 0.277
La: 0.987 0.987 0.689
Ni: 0.100 0.100 0.635
Ni: 0.459 0.459 0.446
Ni: 0.541 0.541 0.554
Ni: 0.900 0.900 0.365
Br: 0.104 0.104 0.146
Br: 0.212 0.212 0.368
Br: 0.302 0.302 0.017
Br: 0.500 0.500 0.000
Br: 0.698 0.698 0.983
Br: 0.788 0.788 0.632
Br: 0.896 0.896 0.854

Output
Calculated total energy = -5.076 eV per atom
Crystal system = monoclinic
Total moment = 1.3 μB per cell
Formation energy from the elements = -26.1 eV per formula unit

***

# 2
Entry from the Materials Project: La3NiBr3 after structural relaxation (PBE-GGA).

Lattice parameters (Å, degrees): 10.416 10.416 10.416 108.12 108.12 112.21
Positions (direct):
La: 0.092 0.355 0.995
La: 0.105 0.611 0.763
La: 0.112 0.112 0.225
La: 0.361 0.098 0.005
La: 0.389 0.895 0.237
La: 0.638 0.362 0.500
La: 0.645 0.908 0.005
La: 0.658 0.152 0.763
La: 0.848 0.342 0.237
La: 0.862 0.138 0.500
La: 0.888 0.888 0.775
La: 0.902 0.639 0.995
Ni: 0.127 0.873 0.000
Ni: 0.623 0.123 0.246
Ni: 0.873 0.127 0.000
Ni: 0.877 0.377 0.754
Br: 0.134 0.634 0.268
Br: 0.137 0.136 0.745
Br: 0.142 0.387 0.501
Br: 0.359 0.114 0.501
Br: 0.366 0.866 0.732
Br: 0.384 0.616 0.000
Br: 0.391 0.392 0.255
Br: 0.608 0.609 0.745
Br: 0.613 0.858 0.499
Br: 0.616 0.384 0.000
Br: 0.864 0.863 0.255
Br: 0.886 0.641 0.499

Output
Calculated total energy = -4.951 eV per atom
Crystal system = tetragonal
Formation energy from the elements = -10.8 eV per formula unit

***

# 3
Entry from the Materials Project: LaBrO2 after structural relaxation (PBE-GGA).

Lattice parameters (Å, degrees): 5.257 4.484 6.881 90.00 106.60 90.00
Positions (direct):
La: 0.193 0.250 0.346
La: 0.807 0.750 0.654
Br: 0.218 0.250 0.901
Br: 0.782 0.750 0.099
O: 0.248 0.750 0.544
O: 0.382 0.750 0.382
O: 0.618 0.250 0.618
O: 0.752 0.250 0.456

Output
Calculated total energy = -6.217 eV per atom
Crystal system = monoclinic
Total moment = 0.0 μB per cell
Formation energy from the elements = -9.3 eV per formula unit

***

# 4
Entry from the Materials Project: LaPb6BrO7 after structural relaxation (PBE-GGA).

Lattice parameters (Å, degrees): 9.704 9.704 8.271 90.00 90.00 118.82
Positions (direct):
La: 0.000 0.000 0.000
La: 0.000 0.000 0.500
Pb: 0.105 0.366 0.750
Pb: 0.187 0.386 0.250
Pb: 0.228 0.772 0.514
Pb: 0.228 0.772 0.986
Pb: 0.366 0.105 0.250
Pb: 0.386 0.187 0.750
Pb: 0.614 0.813 0.250
Pb: 0.634 0.895 0.750
Pb: 0.772 0.228 0.014
Pb: 0.772 0.228 0.486
Pb: 0.813 0.614 0.750
Pb: 0.895 0.634 0.250
Br: 0.500 0.500 0.000
Br: 0.500 0.500 0.500
O: 0.021 0.279 0.029
O: 0.021 0.279 0.471
O: 0.140 0.158 0.750
O: 0.158 0.140 0.250
O: 0.193 0.807 0.250
O: 0.279 0.021 0.529
O: 0.279 0.021 0.971
O: 0.721 0.979 0.029
O: 0.721 0.979 0.471
O: 0.807 0.193 0.750
O: 0.842 0.860 0.750
O: 0.860 0.842 0.250
O: 0.979 0.721 0.529
O: 0.979 0.721 0.971

Output
Calculated total energy = -5.754 eV per atom
Crystal system = orthorhombic
Total moment = 0.0 μB per cell
Formation energy from the elements = -27.6 eV per formula unit

***

# 5
Entry from the Materials Project: Rb2LaTa6Br15O3 after structural relaxation (PBE-GGA).

Lattice parameters (Å, degrees): 9.634 9.634 18.261 90.00 90.00 120.00
Positions (direct):
Rb: 0.333 0.667 0.046
Rb: 0.333 0.667 0.454
Rb: 0.667 0.333 0.546
Rb: 0.667 0.333 0.954
La: 0.333 0.667 0.750
La: 0.667 0.333 0.250
Ta: 0.017 0.189 0.814
Ta: 0.017 0.828 0.686
Ta: 0.172 0.189 0.686
Ta: 0.172 0.983 0.814
Ta: 0.189 0.017 0.314
Ta: 0.189 0.172 0.186
Ta: 0.811 0.828 0.814
Ta: 0.811 0.983 0.686
Ta: 0.828 0.017 0.186
Ta: 0.828 0.811 0.314
Ta: 0.983 0.172 0.314
Ta: 0.983 0.811 0.186
Br: 0.019 0.222 0.087
Br: 0.019 0.797 0.413
Br: 0.073 0.469 0.884
Br: 0.073 0.604 0.616
Br: 0.203 0.222 0.413
Br: 0.203 0.981 0.087
Br: 0.213 0.427 0.250
Br: 0.213 0.787 0.250
Br: 0.222 0.019 0.587
Br: 0.222 0.203 0.913
Br: 0.396 0.469 0.616
Br: 0.396 0.927 0.884
Br: 0.427 0.213 0.750
Br: 0.469 0.073 0.384
Br: 0.469 0.396 0.116
Br: 0.531 0.604 0.884
Br: 0.531 0.927 0.616
Br: 0.573 0.787 0.250
Br: 0.604 0.073 0.116
Br: 0.604 0.531 0.384
Br: 0.778 0.797 0.087
Br: 0.778 0.981 0.413
Br: 0.787 0.213 0.750
Br: 0.787 0.573 0.750
Br: 0.797 0.019 0.913
Br: 0.797 0.778 0.587
Br: 0.927 0.396 0.384
Br: 0.927 0.531 0.116
Br: 0.981 0.203 0.587
Br: 0.981 0.778 0.913
O: 0.180 0.361 0.750
O: 0.180 0.820 0.750
O: 0.361 0.180 0.250
O: 0.639 0.820 0.750
O: 0.820 0.180 0.250
O: 0.820 0.639 0.250

Output
Calculated total energy = -5.842 eV per atom
Crystal system = trigonal
Total moment = 0.1 μB per cell
Formation energy from the elements = -42.4 eV per formula unit

***

# 6
Entry from the Materials Project: Rb2LaBr5 after structural relaxation (PBE-GGA).

Lattice parameters (Å, degrees): 14.302 9.545 8.855 90.00 90.00 90.00
Positions (direct):
Rb: 0.172 0.005 0.053
Rb: 0.172 0.495 0.053
Rb: 0.328 0.505 0.553
Rb: 0.328 0.995 0.553
Rb: 0.672 0.005 0.447
Rb: 0.672 0.495 0.447
Rb: 0.828 0.505 0.947
Rb: 0.828 0.995 0.947
La: 0.004 0.250 0.574
La: 0.496 0.750 0.074
La: 0.504 0.250 0.926
La: 0.996 0.750 0.426
Br: 0.009 0.250 0.914
Br: 0.075 0.542 0.661
Br: 0.075 0.958 0.661
Br: 0.174 0.250 0.378
Br: 0.198 0.750 0.340
Br: 0.302 0.250 0.840
Br: 0.326 0.750 0.878
Br: 0.425 0.042 0.161
Br: 0.425 0.458 0.161
Br: 0.491 0.750 0.414
Br: 0.509 0.250 0.586
Br: 0.575 0.542 0.839
Br: 0.575 0.958 0.839
Br: 0.674 0.250 0.122
Br: 0.698 0.750 0.160
Br: 0.802 0.250 0.660
Br: 0.826 0.750 0.622
Br: 0.925 0.042 0.339
Br: 0.925 0.458 0.339
Br: 0.991 0.750 0.086

Output
Calculated total energy = -3.823 eV per atom
Crystal system = orthorhombic
Formation energy from the elements = -18.2 eV per formula unit

***

# 7
Entry from the Materials Project: La3RuBr3 after structural relaxation (PBE-GGA).

Lattice parameters (Å, degrees): 10.577 10.577 10.577 109.47 109.47 109.47
Positions (direct):
La: 0.016 0.031 0.266
La: 0.016 0.484 0.750
La: 0.031 0.266 0.016
La: 0.234 0.266 0.750
La: 0.234 0.469 0.484
La: 0.266 0.016 0.031
La: 0.266 0.750 0.234
La: 0.469 0.484 0.234
La: 0.484 0.234 0.469
La: 0.484 0.750 0.016
La: 0.750 0.016 0.484
La: 0.750 0.234 0.266
Ru: 0.000 0.250 0.500
Ru: 0.250 0.250 0.250
Ru: 0.250 0.500 0.000
Ru: 0.500 0.000 0.250
Br: 0.250 0.757 0.743
Br: 0.250 0.993 0.507
Br: 0.507 0.250 0.993
Br: 0.507 0.757 0.514
Br: 0.514 0.507 0.757
Br: 0.743 0.250 0.757
Br: 0.743 0.993 0.986
Br: 0.757 0.514 0.507
Br: 0.757 0.743 0.250
Br: 0.986 0.743 0.993
Br: 0.993 0.507 0.250
Br: 0.993 0.986 0.743

Output
Calculated total energy = -5.503 eV per atom
Crystal system = cubic
Total moment = 0.2 μB per cell
Formation energy from the elements = -11.1 eV per formula unit

***

# 8
Entry from the Materials Project: LaSBr after structural relaxation (PBE-GGA).

Lattice parameters (Å, degrees): 7.025 14.105 7.219 90.00 90.00 90.00
Positions (direct):
La: 0.241 0.092 0.033
La: 0.241 0.408 0.533
La: 0.259 0.592 0.033
La: 0.259 0.908 0.533
La: 0.741 0.092 0.467
La: 0.741 0.408 0.967
La: 0.759 0.592 0.467
La: 0.759 0.908 0.967
S: 0.001 0.024 0.742
S: 0.001 0.476 0.242
S: 0.499 0.524 0.742
S: 0.499 0.976 0.242
S: 0.501 0.024 0.758
S: 0.501 0.476 0.258
S: 0.999 0.524 0.758
S: 0.999 0.976 0.258
Br: 0.179 0.702 0.400
Br: 0.179 0.798 0.900
Br: 0.321 0.202 0.400
Br: 0.321 0.298 0.900
Br: 0.679 0.702 0.100
Br: 0.679 0.798 0.600
Br: 0.821 0.202 0.100
Br: 0.821 0.298 0.600

Output
Calculated total energy = -5.711 eV per atom
Crystal system = orthorhombic
Formation energy from the elements = -7.5 eV per formula unit

***

# 9
Entry from the Materials Project: LaSbS2Br2 after structural relaxation (PBE-GGA).

Lattice parameters (Å, degrees): 8.857 9.349 17.601 90.00 104.09 90.00
Positions (direct):
La: 0.113 0.135 0.237
La: 0.113 0.365 0.737
La: 0.377 0.630 0.256
La: 0.377 0.870 0.756
La: 0.623 0.130 0.244
La: 0.623 0.370 0.744
La: 0.887 0.635 0.263
La: 0.887 0.865 0.763
Sb: 0.227 0.659 0.946
Sb: 0.227 0.841 0.446
Sb: 0.231 0.045 0.954
Sb: 0.231 0.455 0.454
Sb: 0.769 0.545 0.546
Sb: 0.769 0.955 0.046
Sb: 0.773 0.159 0.554
Sb: 0.773 0.341 0.054
S: 0.026 0.649 0.448
S: 0.026 0.851 0.948
S: 0.160 0.666 0.803
S: 0.160 0.834 0.303
S: 0.163 0.065 0.811
S: 0.163 0.435 0.311
S: 0.427 0.648 0.448
S: 0.427 0.852 0.948
S: 0.573 0.148 0.052
S: 0.573 0.352 0.552
S: 0.837 0.565 0.689
S: 0.837 0.935 0.189
S: 0.840 0.166 0.697
S: 0.840 0.334 0.197
S: 0.974 0.149 0.052
S: 0.974 0.351 0.552
Br: 0.055 0.624 0.128
Br: 0.055 0.876 0.628
Br: 0.339 0.561 0.660
Br: 0.339 0.939 0.160
Br: 0.342 0.176 0.665
Br: 0.342 0.324 0.165
Br: 0.422 0.127 0.368
Br: 0.422 0.373 0.868
Br: 0.578 0.627 0.132
Br: 0.578 0.873 0.632
Br: 0.658 0.676 0.835
Br: 0.658 0.824 0.335
Br: 0.661 0.061 0.840
Br: 0.661 0.439 0.340
Br: 0.945 0.124 0.372
Br: 0.945 0.376 0.872

Output
Calculated total energy = -4.754 eV per atom
Crystal system = monoclinic
Total moment = 0.0 μB per cell
Formation energy from the elements = -10.0 eV per formula unit

***

# 10
Entry from the Materials Project: La3Si2S8Br after structural relaxation (PBE-GGA).

Lattice parameters (Å, degrees): 8.901 8.901 11.047 96.55 96.55 52.60
Positions (direct):
La: 0.107 0.893 0.750
La: 0.186 0.426 0.317
La: 0.426 0.186 0.817
La: 0.574 0.814 0.183
La: 0.814 0.574 0.683
La: 0.893 0.107 0.250
Si: 0.126 0.194 0.030
Si: 0.194 0.126 0.530
Si: 0.806 0.874 0.470
Si: 0.874 0.806 0.970
S: 0.054 0.244 0.841
S: 0.087 0.780 0.452
S: 0.099 0.609 0.855
S: 0.210 0.354 0.585
S: 0.220 0.913 0.048
S: 0.244 0.054 0.341
S: 0.354 0.210 0.085
S: 0.391 0.901 0.645
S: 0.609 0.099 0.355
S: 0.646 0.790 0.915
S: 0.756 0.946 0.659
S: 0.780 0.087 0.952
S: 0.790 0.646 0.415
S: 0.901 0.391 0.145
S: 0.913 0.220 0.548
S: 0.946 0.756 0.159
Br: 0.495 0.505 0.250
Br: 0.505 0.495 0.750

Output
Calculated total energy = -5.896 eV per atom
Crystal system = monoclinic
Total moment = 0.0 μB per cell
Formation energy from the elements = -26.7 eV per formula unit

***

# 11
Entry from the Materials Project: La9Sb16Br3 after structural relaxation (PBE-GGA).

Lattice parameters (Å, degrees): 21.486 21.486 4.353 90.00 90.00 120.00
Positions (direct):
La: 0.007 0.606 0.250
La: 0.095 0.849 0.250
La: 0.151 0.246 0.250
La: 0.233 0.542 0.750
La: 0.246 0.095 0.750
La: 0.309 0.767 0.750
La: 0.394 0.401 0.250
La: 0.401 0.007 0.750
La: 0.458 0.691 0.750
La: 0.542 0.309 0.250
La: 0.599 0.993 0.250
La: 0.606 0.599 0.750
La: 0.691 0.233 0.250
La: 0.754 0.905 0.250
La: 0.767 0.458 0.250
La: 0.849 0.754 0.750
La: 0.905 0.151 0.750
La: 0.993 0.394 0.750
Sb: 0.010 0.286 0.250
Sb: 0.104 0.516 0.250
Sb: 0.131 0.357 0.750
Sb: 0.137 0.628 0.750
Sb: 0.178 0.750 0.250
Sb: 0.226 0.869 0.750
Sb: 0.250 0.428 0.250
Sb: 0.276 0.990 0.250
Sb: 0.286 0.276 0.750
Sb: 0.333 0.667 0.250
Sb: 0.357 0.226 0.250
Sb: 0.372 0.509 0.750
Sb: 0.412 0.896 0.250
Sb: 0.428 0.178 0.750
Sb: 0.484 0.588 0.250
Sb: 0.491 0.863 0.750
Sb: 0.509 0.137 0.250
Sb: 0.516 0.412 0.750
Sb: 0.572 0.822 0.250
Sb: 0.588 0.104 0.750
Sb: 0.628 0.491 0.250
Sb: 0.643 0.774 0.750
Sb: 0.667 0.333 0.750
Sb: 0.714 0.724 0.250
Sb: 0.724 0.010 0.750
Sb: 0.750 0.572 0.750
Sb: 0.774 0.131 0.250
Sb: 0.822 0.250 0.750
Sb: 0.863 0.372 0.250
Sb: 0.869 0.643 0.250
Sb: 0.896 0.484 0.750
Sb: 0.990 0.714 0.750
Br: 0.051 0.149 0.750
Br: 0.099 0.949 0.750
Br: 0.149 0.099 0.250
Br: 0.851 0.901 0.750
Br: 0.901 0.051 0.250
Br: 0.949 0.851 0.250

Output
Calculated total energy = -5.189 eV per atom
Crystal system = hexagonal
Total moment = 0.0 μB per cell
Formation energy from the elements = -31.5 eV per formula unit

***

| no. | mass density (Mg/m³) |
| --- | --- |
| 1 | 6.03 |
| 2 | 5.47 |
| 3 | 5.36 |
| 4 | 7.66 |
| 5 | 5.98 |
| 6 | 3.90 |
| 7 | 5.52 |
| 8 | 4.66 |
| 9 | 4.55 |
| 10 | 3.90 |
| 11 | 6.56 |